(1)
Cs3Te13Mo12 | PBE | optimized geometry

Geometry as POSCAR:
```
Cs3Te13Mo12
1.0
5.253 3.033 17.922
-5.253 3.033 17.922
0.000 -6.066 17.922
Cs Te Mo
6 26 24
Direct
0.057 0.057 0.057 Cs
0.145 0.145 0.145 Cs
0.234 0.234 0.234 Cs
0.766 0.766 0.766 Cs
0.855 0.855 0.855 Cs
0.943 0.943 0.943 Cs
0.058 0.678 0.317 Te
0.068 0.426 0.681 Te
0.147 0.765 0.395 Te
0.149 0.521 0.765 Te
0.235 0.605 0.853 Te
0.235 0.851 0.479 Te
0.307 0.307 0.307 Te
0.317 0.058 0.678 Te
0.319 0.932 0.574 Te
0.322 0.683 0.942 Te
0.395 0.147 0.765 Te
0.426 0.681 0.068 Te
0.479 0.235 0.851 Te
0.521 0.765 0.149 Te
0.574 0.319 0.932 Te
0.605 0.853 0.235 Te
0.678 0.317 0.058 Te
0.681 0.068 0.426 Te
0.683 0.942 0.322 Te
0.693 0.693 0.693 Te
0.765 0.149 0.521 Te
0.765 0.395 0.147 Te
0.851 0.479 0.235 Te
0.853 0.235 0.605 Te
0.932 0.574 0.319 Te
0.942 0.322 0.683 Te
0.195 0.367 0.486 Mo
0.252 0.548 0.377 Mo
0.280 0.453 0.571 Mo
0.343 0.634 0.459 Mo
0.366 0.541 0.657 Mo
0.367 0.486 0.195 Mo
0.377 0.252 0.548 Mo
0.429 0.720 0.547 Mo
0.452 0.623 0.748 Mo
0.453 0.571 0.280 Mo
0.459 0.343 0.634 Mo
0.486 0.195 0.367 Mo
0.514 0.805 0.633 Mo
0.541 0.657 0.366 Mo
0.547 0.429 0.720 Mo
0.548 0.377 0.252 Mo
0.571 0.280 0.453 Mo
0.623 0.748 0.452 Mo
0.633 0.514 0.805 Mo
0.634 0.459 0.343 Mo
0.657 0.366 0.541 Mo
0.720 0.547 0.429 Mo
0.748 0.452 0.623 Mo
0.805 0.633 0.514 Mo
```

ΔE_f in eV per atom: -0.456
Total magnetic moment in μB/cell: 0.126

---

(2)
LiSbP2O7 | PBE | optimized geometry

Geometry as POSCAR:
```
LiSbP2O7
1.0
7.443 0.000 0.000
0.000 10.800 0.000
-3.554 0.000 7.817
Li Sb P O
4 4 8 28
Direct
0.116 0.156 0.077 Li
0.116 0.344 0.577 Li
0.884 0.656 0.423 Li
0.884 0.844 0.923 Li
0.230 0.607 0.231 Sb
0.230 0.893 0.731 Sb
0.770 0.107 0.269 Sb
0.770 0.393 0.769 Sb
0.134 0.591 0.789 P
0.134 0.909 0.289 P
0.473 0.649 0.716 P
0.473 0.851 0.216 P
0.527 0.149 0.784 P
0.527 0.351 0.284 P
0.866 0.091 0.711 P
0.866 0.409 0.211 P
0.036 0.697 0.662 O
0.036 0.803 0.162 O
0.060 0.037 0.211 O
0.060 0.463 0.711 O
0.108 0.609 0.955 O
0.108 0.891 0.455 O
0.328 0.080 0.718 O
0.328 0.420 0.218 O
0.336 0.620 0.531 O
0.336 0.880 0.031 O
0.369 0.597 0.838 O
0.369 0.903 0.338 O
0.490 0.211 0.242 O
0.490 0.289 0.742 O
0.510 0.711 0.258 O
0.510 0.789 0.758 O
0.631 0.097 0.662 O
0.631 0.403 0.162 O
0.664 0.120 0.969 O
0.664 0.380 0.469 O
0.672 0.580 0.782 O
0.672 0.920 0.282 O
0.892 0.109 0.545 O
0.892 0.391 0.045 O
0.940 0.537 0.289 O
0.940 0.963 0.789 O
0.964 0.197 0.838 O
0.964 0.303 0.338 O
```

ΔE_f in eV per atom: -2.431
Total magnetic moment in μB/cell: 0.001

---

(3)
Na2Be2O3 | PBE | optimized geometry

Geometry as POSCAR:
```
Na2Be2O3
1.0
4.962 0.000 0.000
0.000 7.269 0.000
-1.844 0.000 5.451
Na Be O
4 4 6
Direct
0.222 0.140 0.113 Na
0.222 0.360 0.613 Na
0.778 0.640 0.387 Na
0.778 0.860 0.887 Na
0.204 0.517 0.013 Be
0.204 0.983 0.513 Be
0.796 0.017 0.487 Be
0.796 0.483 0.987 Be
0.075 0.062 0.708 O
0.075 0.438 0.208 O
0.500 0.000 0.500 O
0.500 0.500 0.000 O
0.925 0.562 0.792 O
0.925 0.938 0.292 O
```

ΔE_f in eV per atom: -2.350
E above lowest polymorph in kJ/mol of atoms: 5.8
Total magnetic moment in μB/cell: 0.000

---

(4)
BaYCuSe3 | PBE | optimized geometry

Geometry as POSCAR:
```
BaYCuSe3
1.0
2.096 -7.073 0.000
2.096 7.073 0.000
0.000 0.000 10.701
Ba Y Cu Se
2 2 2 6
Direct
0.247 0.753 0.750 Ba
0.753 0.247 0.250 Ba
0.500 0.500 0.000 Y
0.500 0.500 0.500 Y
0.033 0.967 0.250 Cu
0.967 0.033 0.750 Cu
0.134 0.866 0.061 Se
0.134 0.866 0.439 Se
0.431 0.569 0.250 Se
0.569 0.431 0.750 Se
0.866 0.134 0.561 Se
0.866 0.134 0.939 Se
```

ΔE_f in eV per atom: -1.817
Total magnetic moment in μB/cell: 0.000

---

(5)
Na3La4P3S3O24 | PBE | optimized geometry

Geometry as POSCAR:
```
Na3La4P3S3O24
1.0
9.529 0.000 0.000
-4.762 8.281 0.000
-0.006 -0.274 25.191
Na La P S O
9 12 9 9 72
Direct
0.000 0.000 0.000 Na
0.002 0.010 0.500 Na
0.025 0.346 0.583 Na
0.314 0.344 0.083 Na
0.338 0.688 0.666 Na
0.344 0.687 0.167 Na
0.650 0.324 0.333 Na
0.669 0.344 0.833 Na
0.980 0.677 0.419 Na
0.001 0.003 0.150 La
0.010 0.027 0.850 La
0.017 0.035 0.350 La
0.328 0.661 0.816 La
0.333 0.670 0.317 La
0.341 0.685 0.016 La
0.341 0.692 0.516 La
0.659 0.342 0.183 La
0.660 0.346 0.983 La
0.663 0.329 0.484 La
0.678 0.343 0.684 La
0.997 0.002 0.650 La
0.002 0.309 0.748 P
0.038 0.385 0.419 P
0.302 0.313 0.247 P
0.331 0.972 0.415 P
0.335 0.379 0.919 P
0.370 0.048 0.083 P
0.666 0.640 0.083 P
0.673 0.047 0.584 P
0.966 0.639 0.581 P
0.001 0.711 0.252 S
0.036 0.678 0.916 S
0.302 0.010 0.750 S
0.366 0.345 0.584 S
0.634 0.976 0.916 S
0.640 0.678 0.417 S
0.702 0.011 0.250 S
0.703 0.712 0.751 S
0.969 0.344 0.083 S
0.013 0.213 0.413 O
0.016 0.809 0.204 O
0.018 0.228 0.696 O
0.018 0.824 0.912 O
0.117 0.662 0.868 O
0.126 0.491 0.370 O
0.132 0.642 0.579 O
0.134 0.697 0.964 O
0.135 0.462 0.471 O
0.136 0.489 0.080 O
0.150 0.697 0.254 O
0.156 0.479 0.753 O
0.167 0.974 0.411 O
0.182 0.209 0.913 O
0.200 0.200 0.587 O
0.204 0.045 0.087 O
0.204 0.230 0.196 O
0.204 0.991 0.702 O
0.214 0.209 0.296 O
0.220 0.026 0.798 O
0.311 0.871 0.465 O
0.318 0.482 0.252 O
0.319 0.460 0.970 O
0.320 0.865 0.754 O
0.345 0.488 0.580 O
0.345 0.876 0.078 O
0.350 0.484 0.870 O
0.351 0.887 0.366 O
0.444 0.327 0.536 O
0.454 0.154 0.034 O
0.463 0.158 0.747 O
0.463 0.361 0.632 O
0.472 0.129 0.133 O
0.473 0.328 0.246 O
0.477 0.144 0.420 O
0.489 0.362 0.920 O
0.503 0.643 0.079 O
0.526 0.876 0.580 O
0.535 0.895 0.868 O
0.539 0.865 0.253 O
0.541 0.699 0.754 O
0.543 0.660 0.369 O
0.556 0.882 0.964 O
0.562 0.697 0.464 O
0.645 0.535 0.133 O
0.652 0.131 0.634 O
0.653 0.140 0.920 O
0.660 0.533 0.420 O
0.685 0.549 0.747 O
0.687 0.559 0.033 O
0.689 0.158 0.247 O
0.694 0.150 0.534 O
0.782 0.806 0.703 O
0.783 0.993 0.202 O
0.796 0.990 0.912 O
0.799 0.025 0.298 O
0.802 0.794 0.799 O
0.806 0.822 0.412 O
0.813 0.812 0.089 O
0.836 0.045 0.588 O
0.849 0.327 0.747 O
0.857 0.548 0.247 O
0.869 0.562 0.529 O
0.872 0.381 0.421 O
0.873 0.326 0.035 O
0.875 0.530 0.920 O
0.877 0.531 0.630 O
0.892 0.362 0.131 O
0.984 0.789 0.301 O
0.988 0.205 0.797 O
0.990 0.810 0.588 O
0.992 0.200 0.087 O
```

ΔE_f in eV per atom: -2.874
Total magnetic moment in μB/cell: 0.000

---

(6)
BaInF5 | PBE | optimized geometry

Geometry as POSCAR:
```
BaInF5
1.0
7.741 0.000 0.000
0.000 7.880 0.000
-1.483 0.000 15.843
Ba In F
8 8 40
Direct
0.001 0.154 0.137 Ba
0.001 0.346 0.637 Ba
0.310 0.152 0.413 Ba
0.310 0.348 0.913 Ba
0.690 0.652 0.087 Ba
0.690 0.848 0.587 Ba
0.999 0.654 0.363 Ba
0.999 0.846 0.863 Ba
0.190 0.683 0.125 In
0.190 0.817 0.625 In
0.495 0.620 0.339 In
0.495 0.880 0.839 In
0.505 0.120 0.161 In
0.505 0.380 0.661 In
0.810 0.183 0.375 In
0.810 0.317 0.875 In
0.004 0.012 0.609 F
0.004 0.488 0.109 F
0.030 0.694 0.706 F
0.030 0.806 0.206 F
0.040 0.676 0.533 F
0.040 0.824 0.033 F
0.302 0.006 0.901 F
0.302 0.494 0.401 F
0.312 0.165 0.242 F
0.312 0.335 0.742 F
0.315 0.198 0.067 F
0.315 0.302 0.567 F
0.322 0.554 0.229 F
0.322 0.946 0.729 F
0.340 0.668 0.851 F
0.340 0.832 0.351 F
0.351 0.579 0.041 F
0.351 0.921 0.541 F
0.392 0.633 0.645 F
0.392 0.867 0.145 F
0.608 0.133 0.855 F
0.608 0.367 0.355 F
0.649 0.079 0.459 F
0.649 0.421 0.959 F
0.660 0.168 0.649 F
0.660 0.332 0.149 F
0.678 0.054 0.271 F
0.678 0.446 0.771 F
0.685 0.698 0.433 F
0.685 0.802 0.933 F
0.688 0.665 0.258 F
0.688 0.835 0.758 F
0.698 0.506 0.599 F
0.698 0.994 0.099 F
0.960 0.176 0.967 F
0.960 0.324 0.467 F
0.970 0.194 0.794 F
0.970 0.306 0.294 F
0.996 0.512 0.891 F
0.996 0.988 0.391 F
```

ΔE_f in eV per atom: -3.433

---

(7)
InBi | PBE | optimized geometry

Geometry as POSCAR:
```
InBi
1.0
0.000 3.429 3.429
3.429 0.000 3.429
3.429 3.429 0.000
In Bi
1 1
Direct
0.000 0.000 0.000 In
0.750 0.750 0.750 Bi
```

ΔE_f in eV per atom: 0.025

---

(8)
Pr2ZrS5 | PBE | optimized geometry

Geometry as POSCAR:
```
Pr2ZrS5
1.0
11.838 0.000 0.000
0.000 8.039 0.000
0.000 0.000 7.453
Pr Zr S
8 4 20
Direct
0.177 0.001 0.028 Pr
0.177 0.499 0.028 Pr
0.323 0.501 0.528 Pr
0.323 0.999 0.528 Pr
0.677 0.001 0.472 Pr
0.677 0.499 0.472 Pr
0.823 0.501 0.972 Pr
0.823 0.999 0.972 Pr
0.007 0.750 0.577 Zr
0.493 0.250 0.077 Zr
0.507 0.750 0.923 Zr
0.993 0.250 0.423 Zr
0.005 0.750 0.942 S
0.089 0.035 0.659 S
0.089 0.465 0.659 S
0.181 0.750 0.337 S
0.205 0.250 0.315 S
0.295 0.750 0.815 S
0.319 0.250 0.837 S
0.411 0.535 0.159 S
0.411 0.965 0.159 S
0.495 0.250 0.442 S
0.505 0.750 0.558 S
0.589 0.035 0.841 S
0.589 0.465 0.841 S
0.681 0.750 0.163 S
0.705 0.250 0.185 S
0.795 0.750 0.685 S
0.819 0.250 0.663 S
0.911 0.535 0.341 S
0.911 0.965 0.341 S
0.995 0.250 0.058 S
```

ΔE_f in eV per atom: -2.201